Record 1
SiSnPd5, relaxed, DFT r2SCAN; DFT total energy = -21.80 eV/atom; E_form = -0.607 eV per atom; size of the total moment = 0.00 μB per formula unit
1.0
3.9816 0.0000 0.0000
0.0000 3.9816 0.0000
0.0000 0.0000 6.9375
Si Sn Pd
1 1 5
direct
0.0000 0.0000 0.5000 Si
0.5000 0.5000 0.0000 Sn
0.0000 0.0000 0.0000 Pd
0.5000 0.0000 0.7048 Pd
0.0000 0.5000 0.7048 Pd
0.5000 0.0000 0.2952 Pd
0.0000 0.5000 0.2952 Pd

***

Record 2
RbCrF5, relaxed, DFT r2SCAN; DFT total energy = -9.27 eV/atom; E_form = -2.897 eV per atom; size of the total moment = 2.00 μB per formula unit
1.0
-3.4715 3.8516 2.0578
-5.2484 -1.9095 -5.2801
-3.7925 -6.7332 6.2048
Rb Cr F
4 4 20
direct
0.5000 0.8818 0.9860 Rb
0.5000 0.1182 0.4860 Rb
0.0000 0.3768 0.1370 Rb
0.0000 0.6232 0.6370 Rb
0.0000 0.8828 0.2408 Cr
0.5000 0.5786 0.3381 Cr
0.5000 0.4214 0.8381 Cr
0.0000 0.1172 0.7408 Cr
0.2705 0.5442 0.9201 F
0.7480 0.7043 0.2373 F
0.2280 0.0463 0.2350 F
0.7480 0.2957 0.7373 F
0.5000 0.2427 0.9509 F
0.7720 0.9537 0.7350 F
0.5000 0.5586 0.6922 F
0.2280 0.9537 0.7350 F
0.0000 0.8423 0.0635 F
0.7720 0.0463 0.2350 F
0.5000 0.4414 0.1922 F
0.7295 0.4558 0.4201 F
0.2520 0.7043 0.2373 F
0.0000 0.8532 0.4180 F
0.0000 0.1577 0.5635 F
0.2520 0.2957 0.7373 F
0.0000 0.1468 0.9180 F
0.2705 0.4558 0.4201 F
0.5000 0.7573 0.4509 F
0.7295 0.5442 0.9201 F

***

Record 3
PbO, relaxed, DFT r2SCAN; DFT total energy = -32.38 eV/atom; E_form = -1.255 eV per atom; size of the total moment = 0.00 μB per formula unit
1.0
3.9995 0.0000 0.0000
0.0000 3.9995 0.0000
0.0000 0.0000 5.2598
Pb O
2 2
direct
0.5000 0.0000 0.2260 Pb
0.0000 0.5000 0.7740 Pb
0.5000 0.5000 0.0000 O
0.0000 0.0000 0.0000 O

***

Record 4
VOs, relaxed, DFT r2SCAN; DFT total energy = -33.87 eV/atom; E_form = -0.337 eV per atom; size of the total moment = 0.80 μB per formula unit
1.0
3.0166 0.0000 0.0000
0.0000 3.0166 0.0000
0.0000 0.0000 3.0166
V Os
1 1
direct
0.0000 0.0000 0.0000 V
0.5000 0.5000 0.5000 Os

***

Record 5
Ti2ReTc, relaxed, DFT r2SCAN; DFT total energy = -26.55 eV/atom; E_form = -0.486 eV per atom; size of the total moment = 0.00 μB per formula unit
1.0
-1.7496 -2.5766 -3.0855
-4.0035 0.8626 -1.5648
-0.4783 1.4964 -4.0930
Ti Re Tc
2 1 1
direct
0.5000 0.5000 0.5000 Ti
0.0000 0.0000 0.0000 Ti
0.2500 0.2500 0.2500 Re
0.7500 0.7500 0.7500 Tc

***

Record 6
CaGdZn2, relaxed, DFT r2SCAN; DFT total energy = -17.34 eV/atom; E_form = -0.276 eV per atom; size of the total moment = 7.38 μB per formula unit
1.0
-1.6037 0.2917 4.8371
-4.1909 2.6807 1.1421
-4.2651 -2.4152 1.4247
Ca Gd Zn
1 1 2
direct
0.0000 0.0000 0.0000 Ca
0.5000 0.5000 0.5000 Gd
0.7500 0.7500 0.7500 Zn
0.2500 0.2500 0.2500 Zn

***

Record 7
FeB2O4, relaxed, DFT r2SCAN; DFT total energy = -9.79 eV/atom; E_form = -2.217 eV per atom; size of the total moment = 0.00 μB per formula unit
1.0
3.7177 -3.6583 -1.5820
3.0488 2.6581 -4.5287
3.8269 4.1736 4.3770
Fe B O
4 8 16
direct
0.6774 0.3227 0.0483 Fe
0.3225 0.6774 0.9517 Fe
0.1774 0.8226 0.5483 Fe
0.8226 0.1773 0.4517 Fe
0.2857 0.0838 0.2085 B
0.7857 0.5838 0.7084 B
0.3554 0.2761 0.6453 B
0.8554 0.7760 0.1453 B
0.7143 0.9162 0.7915 B
0.2143 0.4162 0.2916 B
0.6446 0.7239 0.3547 B
0.1446 0.2240 0.8547 B
0.8410 0.8601 0.3371 O
0.3410 0.3601 0.8371 O
0.0513 0.2442 0.2564 O
0.5513 0.7442 0.7564 O
0.1590 0.1399 0.6629 O
0.6590 0.6399 0.1629 O
0.9487 0.7558 0.7436 O
0.4487 0.2558 0.2436 O
0.3907 0.8800 0.3488 O
0.8907 0.3800 0.8489 O
0.2622 0.4602 0.4888 O
0.7622 0.9602 0.9888 O
0.6093 0.1200 0.6511 O
0.1093 0.6200 0.1512 O
0.7378 0.5398 0.5112 O
0.2378 0.0398 0.0112 O

***

Record 8
Nb3Ge, relaxed, DFT r2SCAN; DFT total energy = -22.39 eV/atom; E_form = -0.369 eV per atom; size of the total moment = 0.00 μB per formula unit
1.0
10.3491 0.0000 0.0000
0.0000 10.3493 0.0000
0.0000 0.0000 5.2795
Nb Ge
24 8
direct
0.9156 0.5965 0.5361 Nb
0.0844 0.4035 0.5361 Nb
0.9035 0.4156 0.0361 Nb
0.0965 0.5844 0.0361 Nb
0.5844 0.9035 0.9639 Nb
0.4156 0.0965 0.9639 Nb
0.5965 0.0844 0.4639 Nb
0.4035 0.9156 0.4639 Nb
0.8517 0.9835 0.7213 Nb
0.1483 0.0165 0.7214 Nb
0.5165 0.3517 0.2214 Nb
0.4835 0.6483 0.2214 Nb
0.6484 0.5165 0.7786 Nb
0.3516 0.4835 0.7786 Nb
0.9835 0.1484 0.2786 Nb
0.0165 0.8516 0.2786 Nb
0.8100 0.7129 0.0155 Nb
0.1900 0.2871 0.0155 Nb
0.7871 0.3100 0.5155 Nb
0.2129 0.6900 0.5155 Nb
0.6900 0.7871 0.4845 Nb
0.3100 0.2129 0.4845 Nb
0.7129 0.1900 0.9845 Nb
0.2871 0.8100 0.9845 Nb
0.7954 0.9726 0.2169 Ge
0.2046 0.0274 0.2169 Ge
0.5274 0.2954 0.7170 Ge
0.4726 0.7046 0.7169 Ge
0.7046 0.5274 0.2831 Ge
0.2954 0.4726 0.2831 Ge
0.9726 0.2046 0.7830 Ge
0.0274 0.7954 0.7831 Ge

***

Record 9
LuZrCo2, relaxed, DFT r2SCAN; DFT total energy = -22.14 eV/atom; E_form = -0.313 eV per atom; size of the total moment = 1.33 μB per formula unit
1.0
-0.0003 3.2327 3.2325
3.2320 0.0001 3.2321
3.2339 3.2342 -0.0019
Lu Zr Co
1 1 2
direct
0.2500 0.2500 0.2500 Lu
0.7500 0.7500 0.7500 Zr
0.4999 0.4998 0.5003 Co
0.0001 0.0001 0.9997 Co

***

Record 10
Sr3As4, relaxed, DFT r2SCAN; DFT total energy = -16.03 eV/atom; E_form = -1.132 eV per atom; size of the total moment = 0.00 μB per formula unit
1.0
5.7099 0.0000 1.9054
2.8550 7.4689 0.9527
0.0087 0.0000 9.4821
Sr As
6 8
direct
0.5550 0.0046 0.3343 Sr
0.8938 0.9954 0.6657 Sr
0.3095 0.4954 0.8343 Sr
0.6393 0.5046 0.1657 Sr
0.0019 0.5000 0.5000 Sr
0.2519 0.0000 0.0000 Sr
0.4138 0.6713 0.5041 As
0.5892 0.3287 0.4959 As
0.8351 0.8287 0.0041 As
0.6679 0.1713 0.9959 As
0.3172 0.1720 0.6590 As
0.1483 0.8280 0.3410 As
0.7263 0.6720 0.8410 As
0.2393 0.3280 0.1590 As

***

Record 11
MgPb2, relaxed, DFT r2SCAN; DFT total energy = -38.95 eV/atom; E_form = -0.037 eV per atom; size of the total moment = 0.00 μB per formula unit
1.0
-0.7321 0.8359 -7.2376
0.2126 -5.2639 5.0856
-4.8621 0.3137 0.5280
Mg Pb
2 4
direct
0.7579 0.7579 0.7500 Mg
0.2421 0.2421 0.2500 Mg
0.1084 0.4078 0.7500 Pb
0.5922 0.8916 0.2500 Pb
0.8916 0.5922 0.2500 Pb
0.4078 0.1084 0.7500 Pb

***

Record 12
Sm4Sn3, relaxed, DFT r2SCAN; DFT total energy = -28.49 eV/atom; E_form = -0.893 eV per atom; size of the total moment = 0.00 μB per formula unit
1.0
-2.7496 6.3568 -4.4141
-1.4916 -6.9907 -4.0445
-3.8442 -0.1614 7.2559
Sm Sn
8 6
direct
0.3614 0.5000 0.0000 Sm
0.8614 0.5000 0.0000 Sm
0.6386 0.6386 0.6386 Sm
0.5000 0.0000 0.3614 Sm
0.1386 0.1386 0.1386 Sm
0.0000 0.8614 0.5000 Sm
0.5000 0.0000 0.8614 Sm
0.0000 0.3614 0.5000 Sm
0.8750 0.1250 0.7500 Sn
0.7500 0.8750 0.1250 Sn
0.2500 0.6250 0.3750 Sn
0.6250 0.3750 0.2500 Sn
0.1250 0.7500 0.8750 Sn
0.3750 0.2500 0.6250 Sn

***

Record 13
LiYbTl2, relaxed, DFT r2SCAN; DFT total energy = -36.68 eV/atom; E_form = -0.364 eV per atom; size of the total moment = 0.00 μB per formula unit
1.0
0.8216 2.1151 4.5632
-3.4865 -0.4628 3.6880
0.9455 -2.9531 4.0443
Li Yb Tl
1 1 2
direct
0.5000 0.5000 0.5000 Li
0.0000 0.0000 0.0000 Yb
0.2500 0.2500 0.2500 Tl
0.7500 0.7500 0.7500 Tl

***

Record 14
ReHgO4, relaxed, DFT r2SCAN; DFT total energy = -22.29 eV/atom; E_form = -1.349 eV per atom; size of the total moment = 0.00 μB per formula unit
1.0
-1.2413 4.9221 -0.1132
-4.7301 -1.2596 -2.9013
-11.3070 -2.6275 9.7423
Re Hg O
4 4 16
direct
0.6442 0.1432 0.3443 Re
0.3558 0.8568 0.6557 Re
0.1442 0.8568 0.1557 Re
0.8558 0.1432 0.8443 Re
0.3275 0.6100 0.9390 Hg
0.1725 0.6100 0.4390 Hg
0.8275 0.3900 0.5610 Hg
0.6725 0.3900 0.0610 Hg
0.5112 0.8441 0.3641 O
0.4888 0.1559 0.6359 O
0.0739 0.6685 0.2693 O
0.0112 0.1559 0.1359 O
0.5181 0.2775 0.4233 O
0.5186 0.1090 0.8613 O
0.9819 0.2775 0.9233 O
0.5739 0.3315 0.2307 O
0.9888 0.8441 0.8641 O
0.9814 0.1090 0.3613 O
0.4814 0.8910 0.1387 O
0.9261 0.3315 0.7307 O
0.0186 0.8910 0.6387 O
0.4261 0.6685 0.7693 O
0.0181 0.7225 0.0767 O
0.4819 0.7225 0.5767 O

***

Record 15
NbSe2, relaxed, DFT r2SCAN; DFT total energy = -18.77 eV/atom; E_form = -0.983 eV per atom; size of the total moment = 0.91 μB per formula unit
1.0
-1.7492 -3.0298 0.0000
-1.7492 3.0298 0.0000
0.0000 0.0000 -13.4818
Nb Se
2 4
direct
0.6667 0.3333 0.7500 Nb
0.3333 0.6667 0.2500 Nb
0.6667 0.3333 0.1259 Se
0.3333 0.6667 0.8739 Se
0.3333 0.6667 0.6261 Se
0.6667 0.3333 0.3741 Se

***

Record 16
Zn5B3Ir7, relaxed, DFT r2SCAN; DFT total energy = -29.19 eV/atom; E_form = -0.321 eV per atom; size of the total moment = 0.00 μB per formula unit
1.0
2.8509 0.0000 0.0000
0.0000 11.1706 0.0000
0.0000 0.0000 11.7893
Zn B Ir
10 6 14
direct
0.5000 0.7500 0.1893 Zn
0.5000 0.2500 0.8107 Zn
0.5000 0.4508 0.1357 Zn
0.5000 0.5492 0.8643 Zn
0.5000 0.0492 0.1357 Zn
0.5000 0.9508 0.8643 Zn
0.5000 0.3679 0.3454 Zn
0.5000 0.6321 0.6546 Zn
0.5000 0.1321 0.3454 Zn
0.5000 0.8679 0.6546 Zn
0.5000 0.7500 0.9638 B
0.5000 0.2500 0.0362 B
0.5000 0.8825 0.4077 B
0.5000 0.1175 0.5923 B
0.5000 0.6175 0.4077 B
0.5000 0.3825 0.5923 B
0.0000 0.0000 0.5000 Ir
0.0000 0.5000 0.5000 Ir
0.0000 0.7500 0.8200 Ir
0.0000 0.2500 0.1800 Ir
0.0000 0.7500 0.4767 Ir
0.0000 0.2500 0.5233 Ir
0.0000 0.8757 0.0386 Ir
0.0000 0.1243 0.9614 Ir
0.0000 0.6243 0.0386 Ir
0.0000 0.3757 0.9614 Ir
0.0000 0.9199 0.2779 Ir
0.0000 0.0801 0.7221 Ir
0.0000 0.5801 0.2779 Ir
0.0000 0.4199 0.7221 Ir

***

Record 17
RbSmTe2, relaxed, DFT r2SCAN; DFT total energy = -25.29 eV/atom; E_form = -1.669 eV per atom; size of the total moment = 0.00 μB per formula unit
1.0
-0.4865 4.1758 1.8578
3.3752 1.7840 2.5595
4.3917 5.4815 -5.4852
Rb Sm Te
1 1 2
direct
0.0000 0.0000 0.0000 Rb
0.5000 0.5000 0.5000 Sm
0.7653 0.7653 0.7041 Te
0.2347 0.2347 0.2959 Te

***

Record 18
Sr3Sn2O7, relaxed, DFT r2SCAN; DFT total energy = -13.97 eV/atom; E_form = -2.576 eV per atom; size of the total moment = 0.00 μB per formula unit
1.0
2.9027 -10.2896 0.0000
2.9027 10.2896 0.0000
0.0000 0.0000 5.7292
Sr Sn O
6 4 14
direct
0.2467 0.2467 0.2500 Sr
0.7533 0.7533 0.7500 Sr
0.0526 0.4261 0.2500 Sr
0.9474 0.5739 0.7500 Sr
0.5739 0.9474 0.7500 Sr
0.4261 0.0526 0.2500 Sr
0.6506 0.8474 0.2500 Sn
0.3494 0.1526 0.7500 Sn
0.8474 0.6506 0.2500 Sn
0.1526 0.3494 0.7500 Sn
0.9160 0.0840 0.0000 O
0.0840 0.9160 0.5000 O
0.0840 0.9160 0.0000 O
0.9160 0.0840 0.5000 O
0.6103 0.3897 0.5000 O
0.3897 0.6103 0.0000 O
0.3897 0.6103 0.5000 O
0.6103 0.3897 0.0000 O
0.9992 0.3931 0.7500 O
0.0008 0.6069 0.2500 O
0.6833 0.6833 0.2500 O
0.3167 0.3167 0.7500 O
0.6069 0.0008 0.2500 O
0.3931 0.9992 0.7500 O

***

Record 19
CaN2, relaxed, DFT r2SCAN; DFT total energy = -9.07 eV/atom; E_form = -0.639 eV per atom; size of the total moment = 0.00 μB per formula unit
1.0
3.5796 0.0000 0.0000
0.0000 3.5796 0.0000
-1.7898 -1.7898 2.9848
Ca N
1 2
direct
0.0000 0.0000 0.0000 Ca
0.6049 0.6049 0.2098 N
0.3951 0.3951 0.7902 N

***

Record 20
NaGaH4, relaxed, DFT r2SCAN; DFT total energy = -4.97 eV/atom; E_form = -0.164 eV per atom; size of the total moment = 0.00 μB per formula unit
1.0
-0.4674 -3.5398 3.0466
0.9316 -2.6978 -3.7262
6.8857 0.3526 1.4661
Na Ga H
2 2 8
direct
0.3418 0.3418 0.2500 Na
0.6582 0.6582 0.7500 Na
0.8419 0.8419 0.2500 Ga
0.1581 0.1581 0.7500 Ga
0.1926 0.8255 0.7500 H
0.8074 0.1745 0.2500 H
0.8255 0.1926 0.7500 H
0.1745 0.8074 0.2500 H
0.6901 0.6901 0.4291 H
0.3099 0.3099 0.9291 H
0.6901 0.6901 0.0709 H
0.3099 0.3099 0.5709 H